VASP calculation (PBE) on crystalline NaAsSe2 at its relaxed geometry.

Values from the calculation:
Uncorrected energy = -3.79 eV/atom
Formation energy = -0.784 eV/atom
Calculated volume = 27.16 A^3/atom

a = 11.8076 Å, b = 6.0675 Å, c = 12.1343 Å
α = 90.00°, β = 90.83°, γ = 90.00°
Space group Pc (No. 7)
Symmetry-distinct sites (fractional):
Na 0.0000 0.0012 0.0000 (multiplicity 2)
Na 0.2406 0.4919 0.4906 (multiplicity 2)
Na 0.5003 0.0238 0.4752 (multiplicity 2)
Na 0.7390 0.0219 0.2388 (multiplicity 2)
As 0.2324 0.0426 0.7745 (multiplicity 2)
As 0.4738 0.4167 0.7481 (multiplicity 2)
As 0.7337 0.4275 0.9640 (multiplicity 2)
As 0.9754 0.4721 0.7843 (multiplicity 2)
Se 0.0128 0.0774 0.7490 (multiplicity 2)
Se 0.2502 0.0116 0.9687 (multiplicity 2)
Se 0.2593 0.4474 0.7429 (multiplicity 2)
Se 0.4824 0.0286 0.7262 (multiplicity 2)
Se 0.5135 0.4756 0.9463 (multiplicity 2)
Se 0.7482 0.0406 0.9883 (multiplicity 2)
Se 0.7614 0.4738 0.7611 (multiplicity 2)
Se 0.9829 0.4990 0.4794 (multiplicity 2)

=====

VASP calculation (PBE) on crystalline MgAl2P2O10 at its relaxed geometry.

Values from the calculation:
Uncorrected energy = -6.97 eV/atom
Formation energy = -2.801 eV/atom
Calculated volume = 11.13 A^3/atom
Total moment = 0.13 μB per atom

a = 7.1573 Å, b = 7.4996 Å, c = 7.0896 Å
α = 90.00°, β = 118.65°, γ = 90.00°
Space group P2_1/c (No. 14)
Symmetry-distinct sites (fractional):
Mg 0.0000 0.0000 0.0000 (multiplicity 2)
Al 0.2676 0.2323 0.7727 (multiplicity 4)
P 0.2516 0.6143 0.0088 (multiplicity 4)
O 0.0535 0.7435 0.9193 (multiplicity 4)
O 0.2168 0.0092 0.3176 (multiplicity 4)
O 0.2291 0.1722 0.0070 (multiplicity 4)
O 0.2660 0.5036 0.1957 (multiplicity 4)
O 0.4449 0.7349 0.0778 (multiplicity 4)

=====

VASP calculation (PBE) on crystalline Mg48Si34H62O147 at its relaxed geometry.

Values from the calculation:
Uncorrected energy = -6.39 eV/atom
Formation energy = -2.621 eV/atom
Calculated volume = 10.39 A^3/atom
Total moment = 0.00 μB per atom

a = 7.3680 Å, b = 9.3432 Å, c = 43.9405 Å
α = 90.00°, β = 91.35°, γ = 90.00°
Space group Pm (No. 6)
Symmetry-distinct sites (fractional):
Mg 0.0000 0.0000 0.0000 (multiplicity 1)
Mg 0.0003 0.1656 0.8136 (multiplicity 2)
Mg 0.9997 0.5000 0.8132 (multiplicity 1)
Mg 0.0072 0.1658 0.9381 (multiplicity 2)
Mg 0.0075 0.0000 0.8754 (multiplicity 1)
Mg 0.0075 0.3343 0.8758 (multiplicity 2)
Mg 0.0082 0.5000 0.9376 (multiplicity 1)
Mg 0.8294 0.0000 0.3771 (multiplicity 1)
Mg 0.8317 0.3342 0.3766 (multiplicity 2)
Mg 0.8333 0.5000 0.3147 (multiplicity 1)
Mg 0.8353 0.1656 0.3142 (multiplicity 2)
Mg 0.8352 0.1657 0.4389 (multiplicity 2)
Mg 0.8355 0.5000 0.4393 (multiplicity 1)
Mg 0.8473 0.0000 0.2520 (multiplicity 1)
Mg 0.8491 0.3346 0.5012 (multiplicity 2)
Mg 0.8505 0.0000 0.5015 (multiplicity 1)
Mg 0.8521 0.3342 0.2517 (multiplicity 2)
Mg 0.8786 0.1661 0.5633 (multiplicity 2)
Mg 0.8791 0.5000 0.5639 (multiplicity 1)
Mg 0.8830 0.1664 0.1888 (multiplicity 2)
Mg 0.8861 0.5000 0.1894 (multiplicity 1)
Mg 0.9157 0.0000 0.6263 (multiplicity 1)
Mg 0.9164 0.3357 0.6262 (multiplicity 2)
Mg 0.9369 0.0000 0.1252 (multiplicity 1)
Mg 0.9366 0.3345 0.1257 (multiplicity 2)
Mg 0.9544 0.1662 0.6892 (multiplicity 2)
Mg 0.9539 0.5000 0.6886 (multiplicity 1)
Mg 0.9738 0.1660 0.0629 (multiplicity 2)
Mg 0.9787 0.5000 0.0625 (multiplicity 1)
Mg 0.9826 0.0000 0.7511 (multiplicity 1)
Mg 0.9842 0.3346 0.7514 (multiplicity 2)
Mg 0.9963 0.3343 0.0004 (multiplicity 2)
Si 0.2114 0.1658 0.3588 (multiplicity 2)
Si 0.2135 0.3342 0.4191 (multiplicity 2)
Si 0.2177 0.3345 0.2987 (multiplicity 2)
Si 0.2239 0.1654 0.4793 (multiplicity 2)
Si 0.2351 0.1646 0.2391 (multiplicity 2)
Si 0.2448 0.3357 0.5390 (multiplicity 2)
Si 0.2773 0.3340 0.1797 (multiplicity 2)
Si 0.2845 0.1642 0.5984 (multiplicity 2)
Si 0.5438 0.1663 0.1339 (multiplicity 2)
Si 0.5478 0.1645 0.6547 (multiplicity 2)
Si 0.5885 0.3354 0.7142 (multiplicity 2)
Si 0.5909 0.3359 0.0745 (multiplicity 2)
Si 0.6101 0.1656 0.7740 (multiplicity 2)
Si 0.6133 0.1651 0.0151 (multiplicity 2)
Si 0.6231 0.3342 0.8343 (multiplicity 2)
Si 0.6254 0.3345 0.9550 (multiplicity 2)
Si 0.6280 0.1658 0.8947 (multiplicity 2)
H 0.1163 0.0000 0.4188 (multiplicity 1)
H 0.1157 0.5000 0.3574 (multiplicity 1)
H 0.1214 0.0000 0.2964 (multiplicity 1)
H 0.1273 0.5000 0.4800 (multiplicity 1)
H 0.1425 0.5000 0.2356 (multiplicity 1)
H 0.1503 0.0000 0.5414 (multiplicity 1)
H 0.1647 0.0000 0.1705 (multiplicity 1)
H 0.1818 0.5000 0.6044 (multiplicity 1)
H 0.2025 0.0000 0.6656 (multiplicity 1)
H 0.2032 0.3283 0.6659 (multiplicity 2)
H 0.2088 0.1737 0.1079 (multiplicity 2)
H 0.2157 0.5000 0.1075 (multiplicity 1)
H 0.2380 0.1701 0.7294 (multiplicity 2)
H 0.2379 0.5000 0.7276 (multiplicity 1)
H 0.2472 0.0000 0.0438 (multiplicity 1)
H 0.2468 0.3265 0.0435 (multiplicity 2)
H 0.2587 0.0000 0.7908 (multiplicity 1)
H 0.2587 0.3289 0.7926 (multiplicity 2)
H 0.2650 0.5000 0.9799 (multiplicity 1)
H 0.2657 0.1735 0.9806 (multiplicity 2)
H 0.2694 0.1718 0.8554 (multiplicity 2)
H 0.2693 0.5000 0.8538 (multiplicity 1)
H 0.2718 0.0000 0.9166 (multiplicity 1)
H 0.2720 0.3273 0.9179 (multiplicity 2)
H 0.5678 0.1735 0.3971 (multiplicity 2)
H 0.5692 0.0000 0.3353 (multiplicity 1)
H 0.5688 0.5000 0.3983 (multiplicity 1)
H 0.5695 0.3268 0.3345 (multiplicity 2)
H 0.5753 0.3286 0.4597 (multiplicity 2)
H 0.5756 0.0000 0.4616 (multiplicity 1)
H 0.5811 0.1736 0.2714 (multiplicity 2)
H 0.5813 0.5000 0.2716 (multiplicity 1)
H 0.5947 0.1709 0.5229 (multiplicity 2)
H 0.5950 0.5000 0.5249 (multiplicity 1)
H 0.6069 0.0000 0.2071 (multiplicity 1)
H 0.6136 0.3280 0.2072 (multiplicity 2)
H 0.6297 0.0000 0.5868 (multiplicity 1)
H 0.6295 0.3287 0.5864 (multiplicity 2)
H 0.6526 0.5000 0.6484 (multiplicity 1)
H 0.6547 0.5000 0.1443 (multiplicity 1)
H 0.6820 0.0000 0.0795 (multiplicity 1)
H 0.6837 0.0000 0.7112 (multiplicity 1)
H 0.7066 0.5000 0.7730 (multiplicity 1)
H 0.7080 0.5000 0.0178 (multiplicity 1)
H 0.7203 0.0000 0.8339 (multiplicity 1)
H 0.7232 0.0000 0.9564 (multiplicity 1)
H 0.7252 0.5000 0.8950 (multiplicity 1)
O 0.9995 0.3342 0.2956 (multiplicity 2)
O 0.0056 0.1663 0.4801 (multiplicity 2)
O 0.0116 0.5000 0.2331 (multiplicity 1)
O 0.0176 0.1649 0.2342 (multiplicity 2)
O 0.0188 0.0000 0.5417 (multiplicity 1)
O 0.0271 0.3338 0.5412 (multiplicity 2)
O 0.0330 0.0000 0.1701 (multiplicity 1)
O 0.0502 0.5000 0.6035 (multiplicity 1)
O 0.0619 0.3280 0.1716 (multiplicity 2)
O 0.0688 0.1675 0.6043 (multiplicity 2)
O 0.0703 0.0000 0.6657 (multiplicity 1)
O 0.0715 0.3318 0.6662 (multiplicity 2)
O 0.0771 0.1686 0.1075 (multiplicity 2)
O 0.0840 0.5000 0.1076 (multiplicity 1)
O 0.1062 0.1668 0.7292 (multiplicity 2)
O 0.1063 0.5000 0.7289 (multiplicity 1)
O 0.1151 0.3319 0.0438 (multiplicity 2)
O 0.1155 0.0000 0.0439 (multiplicity 1)
O 0.1270 0.0000 0.7919 (multiplicity 1)
O 0.1269 0.3328 0.7922 (multiplicity 2)
O 0.1334 0.5000 0.9805 (multiplicity 1)
O 0.1339 0.1680 0.9806 (multiplicity 2)
O 0.1377 0.1673 0.8550 (multiplicity 2)
O 0.1378 0.5000 0.8547 (multiplicity 1)
O 0.1403 0.0000 0.9175 (multiplicity 1)
O 0.1403 0.3325 0.9177 (multiplicity 2)
O 0.2945 0.0000 0.3572 (multiplicity 1)
O 0.2955 0.2429 0.3901 (multiplicity 2)
O 0.2964 0.5000 0.4177 (multiplicity 1)
O 0.2969 0.2599 0.3305 (multiplicity 2)
O 0.3009 0.5000 0.2972 (multiplicity 1)
O 0.3017 0.2558 0.4499 (multiplicity 2)
O 0.3064 0.0000 0.4775 (multiplicity 1)
O 0.3080 0.2380 0.2713 (multiplicity 2)
O 0.3178 0.2419 0.5098 (multiplicity 2)
O 0.3192 0.0000 0.2379 (multiplicity 1)
O 0.3263 0.5000 0.5354 (multiplicity 1)
O 0.3316 0.2622 0.2129 (multiplicity 2)
O 0.3438 0.2660 0.5696 (multiplicity 2)
O 0.3520 0.5000 0.1804 (multiplicity 1)
O 0.3535 0.0000 0.5903 (multiplicity 1)
O 0.4077 0.2470 0.1568 (multiplicity 2)
O 0.4156 0.2223 0.6266 (multiplicity 2)
O 0.4731 0.0000 0.1311 (multiplicity 1)
O 0.4797 0.0000 0.6630 (multiplicity 1)
O 0.4895 0.2678 0.6834 (multiplicity 2)
O 0.4924 0.2422 0.1010 (multiplicity 2)
O 0.5065 0.5000 0.0748 (multiplicity 1)
O 0.5082 0.5000 0.7184 (multiplicity 1)
O 0.5160 0.2392 0.7431 (multiplicity 2)
O 0.5208 0.2604 0.0423 (multiplicity 2)
O 0.5284 0.0000 0.7768 (multiplicity 1)
O 0.5297 0.0000 0.0163 (multiplicity 1)
O 0.5337 0.2593 0.8031 (multiplicity 2)
O 0.5376 0.2395 0.9830 (multiplicity 2)
O 0.5409 0.5000 0.8365 (multiplicity 1)
O 0.5424 0.5000 0.9567 (multiplicity 1)
O 0.5429 0.2409 0.8632 (multiplicity 2)
O 0.5442 0.2598 0.9232 (multiplicity 2)
O 0.5452 0.0000 0.8966 (multiplicity 1)
O 0.6995 0.1678 0.3973 (multiplicity 2)
O 0.7003 0.5000 0.3974 (multiplicity 1)
O 0.7007 0.0000 0.3345 (multiplicity 1)
O 0.7013 0.3323 0.3344 (multiplicity 2)
O 0.7072 0.0000 0.4604 (multiplicity 1)
O 0.7072 0.3329 0.4601 (multiplicity 2)
O 0.7128 0.1679 0.2711 (multiplicity 2)
O 0.7130 0.5000 0.2711 (multiplicity 1)
O 0.7266 0.1669 0.5232 (multiplicity 2)
O 0.7267 0.5000 0.5236 (multiplicity 1)
O 0.7386 0.0000 0.2070 (multiplicity 1)
O 0.7453 0.3327 0.2075 (multiplicity 2)
O 0.7577 0.1729 0.1432 (multiplicity 2)
O 0.7613 0.3319 0.5862 (multiplicity 2)
O 0.7620 0.0000 0.5867 (multiplicity 1)
O 0.7630 0.1676 0.6483 (multiplicity 2)
O 0.7840 0.5000 0.6490 (multiplicity 1)
O 0.7864 0.5000 0.1443 (multiplicity 1)
O 0.8060 0.3335 0.7116 (multiplicity 2)
O 0.8078 0.3359 0.0799 (multiplicity 2)
O 0.8132 0.0000 0.0815 (multiplicity 1)
O 0.8152 0.0000 0.7108 (multiplicity 1)
O 0.8282 0.1662 0.7728 (multiplicity 2)
O 0.8312 0.1656 0.0187 (multiplicity 2)
O 0.8380 0.5000 0.7727 (multiplicity 1)
O 0.8395 0.5000 0.0193 (multiplicity 1)
O 0.8415 0.3339 0.8343 (multiplicity 2)
O 0.8437 0.3340 0.9572 (multiplicity 2)
O 0.8464 0.1660 0.8957 (multiplicity 2)
O 0.8516 0.0000 0.8343 (multiplicity 1)
O 0.8546 0.0000 0.9576 (multiplicity 1)
O 0.8565 0.5000 0.8959 (multiplicity 1)
O 0.9843 0.5000 0.3567 (multiplicity 1)
O 0.9849 0.0000 0.4185 (multiplicity 1)
O 0.9899 0.0000 0.2949 (multiplicity 1)
O 0.9929 0.1658 0.3572 (multiplicity 2)
O 0.9950 0.3338 0.4186 (multiplicity 2)
O 0.9959 0.5000 0.4800 (multiplicity 1)

=====

VASP calculation (PBE) on crystalline CeSb2 at its relaxed geometry.

Values from the calculation:
Uncorrected energy = -5.51 eV/atom
Formation energy = -0.904 eV/atom
Calculated volume = 29.01 A^3/atom

a = 6.3049 Å, b = 6.2070 Å, c = 17.7880 Å
α = 90.00°, β = 90.00°, γ = 90.00°
Space group Cmce (No. 64)
Symmetry-distinct sites (fractional):
Ce 0.0000 0.1371 0.1114 (multiplicity 8)
Sb 0.0000 0.1382 0.4322 (multiplicity 8)
Sb 0.2500 0.1223 0.7500 (multiplicity 8)

=====

VASP calculation (PBE) on crystalline LaSi5 at its relaxed geometry.

Values from the calculation:
Uncorrected energy = -5.53 eV/atom
Formation energy = -0.122 eV/atom
Calculated volume = 20.07 A^3/atom
Total moment = 0.00 μB per atom

a = 15.0872 Å, b = 3.9894 Å, c = 8.4346 Å
α = 90.00°, β = 108.44°, γ = 90.00°
Space group C2/m (No. 12)
Symmetry-distinct sites (fractional):
La 0.0667 0.0000 0.2716 (multiplicity 4)
Si 0.0618 0.5000 0.6254 (multiplicity 4)
Si 0.0742 0.5000 0.9775 (multiplicity 4)
Si 0.1501 0.0000 0.7085 (multiplicity 4)
Si 0.1752 0.0000 0.0028 (multiplicity 4)
Si 0.2309 0.5000 0.4156 (multiplicity 4)

=====

VASP calculation (PBE) on crystalline Sm4Al at its relaxed geometry.

Values from the calculation:
Uncorrected energy = -4.04 eV/atom
Formation energy = 0.483 eV/atom
Calculated volume = 36.61 A^3/atom
Total moment = 0.00 μB per atom

a = 11.3558 Å, b = 11.3558 Å, c = 11.3558 Å
α = 90.00°, β = 90.00°, γ = 90.00°
Space group Fd-3m (No. 227, origin choice 2)
Symmetry-distinct sites (fractional):
Sm 0.0180 0.0180 0.2320 (multiplicity 32)
Al 0.1250 0.1250 0.6250 (multiplicity 8)

=====

VASP calculation (PBE) on crystalline KTeF5 at its relaxed geometry.

Values from the calculation:
Uncorrected energy = -4.38 eV/atom
Formation energy = -2.737 eV/atom
Calculated volume = 19.05 A^3/atom

a = 4.9171 Å, b = 9.4324 Å, c = 11.5019 Å
α = 90.00°, β = 90.00°, γ = 90.00°
Space group Pbcm (No. 57)
Symmetry-distinct sites (fractional):
K 0.0105 0.2500 0.0000 (multiplicity 4)
Te 0.3749 0.5613 0.2500 (multiplicity 4)
F 0.1077 0.7099 0.2500 (multiplicity 4)
F 0.1218 0.0114 0.6267 (multiplicity 8)
F 0.4725 0.1877 0.1261 (multiplicity 8)

=====

Question: Which formula does entry 7 have?
Answer: KTeF5

=====

Question: Which formula does entry 7 have?
Answer: KTeF5

=====

Please write out number 6 again, unchanged.
VASP calculation (PBE) on crystalline Sm4Al at its relaxed geometry.

Values from the calculation:
Uncorrected energy = -4.04 eV/atom
Formation energy = 0.483 eV/atom
Calculated volume = 36.61 A^3/atom
Total moment = 0.00 μB per atom

a = 11.3558 Å, b = 11.3558 Å, c = 11.3558 Å
α = 90.00°, β = 90.00°, γ = 90.00°
Space group Fd-3m (No. 227, origin choice 2)
Symmetry-distinct sites (fractional):
Sm 0.0180 0.0180 0.2320 (multiplicity 32)
Al 0.1250 0.1250 0.6250 (multiplicity 8)